# 1
First-principles (GGA-PBE) data for Ca5P3ClO12 after structural relaxation, as listed in Materials Project.

a b c (Å): 9.833 6.773 19.646
angles (deg): 90.00 119.98 90.00
Space group P2_1/c (No. 14)
Unique sites:
1 Ca 0.017 0.247 0.125 [4 per cell]
2 Ca 0.251 0.248 0.383 [4 per cell]
3 Ca 0.266 0.749 0.758 [4 per cell]
4 Ca 0.326 0.504 0.080 [4 per cell]
5 Ca 0.340 0.504 0.587 [4 per cell]
6 P 0.032 0.248 0.454 [4 per cell]
7 P 0.377 0.247 0.234 [4 per cell]
8 P 0.409 0.746 0.439 [4 per cell]
9 Cl 0.001 0.575 0.249 [4 per cell]
10 O 0.079 0.077 0.920 [4 per cell]
11 O 0.088 0.055 0.433 [4 per cell]
12 O 0.130 0.236 0.046 [4 per cell]
13 O 0.146 0.748 0.075 [4 per cell]
14 O 0.265 0.072 0.710 [4 per cell]
15 O 0.272 0.059 0.206 [4 per cell]
16 O 0.340 0.576 0.881 [4 per cell]
17 O 0.350 0.743 0.498 [4 per cell]
18 O 0.365 0.556 0.387 [4 per cell]
19 O 0.408 0.239 0.519 [4 per cell]
20 O 0.463 0.244 0.685 [4 per cell]
21 O 0.497 0.243 0.323 [4 per cell]

Values from the calculation:
Formation enthalpy at 0 K = -3283 meV/atom
Crystal system = monoclinic
Uncorrected energy = -7.06 eV per atom



# 2
First-principles (GGA-PBE) data for Ca5P3ClO12 after structural relaxation, as listed in Materials Project.

a b c (Å): 9.8314 9.8314 6.7325
angles (deg): 90.00 90.00 120.00
Space group P6_3/m (No. 176)
Unique sites:
1 Ca 0.0186 0.7544 0.2500 [6 per cell]
2 Ca 0.3333 0.6667 0.5044 [4 per cell]
3 P 0.0319 0.4106 0.2500 [6 per cell]
4 Cl 0.0000 0.0000 0.0000 [2 per cell]
5 O 0.0845 0.3541 0.0646 [12 per cell]
6 O 0.1301 0.5947 0.2500 [6 per cell]
7 O 0.1461 0.6483 0.7500 [6 per cell]

Values from the calculation:
Formation enthalpy at 0 K = -3282 meV/atom
Crystal system = hexagonal
Uncorrected energy = -7.06 eV per atom



# 3
First-principles (GGA-PBE) data for Ca2P3Pb3ClO12 after structural relaxation, as listed in Materials Project.

a b c (Å): 9.9578 9.9578 7.1679
angles (deg): 90.00 90.00 120.00
Space group P6_3/m (No. 176)
Unique sites:
1 Ca 0.3333 0.6667 0.0046 [4 per cell]
2 P 0.0334 0.4200 0.7500 [6 per cell]
3 Pb 0.0103 0.7532 0.7500 [6 per cell]
4 Cl 0.0000 0.0000 0.0000 [2 per cell]
5 O 0.0841 0.3640 0.5750 [12 per cell]
6 O 0.1367 0.6026 0.7500 [6 per cell]
7 O 0.1418 0.6319 0.2500 [6 per cell]

Values from the calculation:
Formation enthalpy at 0 K = -2681 meV/atom
Crystal system = hexagonal
Uncorrected energy = -6.70 eV per atom



# 4
First-principles (GGA-PBE) data for Sr5Ca5P6Cl2O24 after structural relaxation, as listed in Materials Project.

a b c (Å): 9.870 7.033 9.882
angles (deg): 90.00 119.93 90.00
Space group Pm (No. 6)
Unique sites:
1 Sr 0.000 0.000 0.000 [1 per cell]
2 Sr 0.000 0.500 0.254 [1 per cell]
3 Sr 0.251 0.500 0.999 [1 per cell]
4 Sr 0.254 0.000 0.506 [1 per cell]
5 Sr 0.506 0.500 0.504 [1 per cell]
6 Ca 0.519 0.000 0.262 [1 per cell]
7 Ca 0.586 0.249 0.919 [2 per cell]
8 Ca 0.919 0.251 0.586 [2 per cell]
9 P 0.218 0.000 0.839 [1 per cell]
10 P 0.287 0.500 0.666 [1 per cell]
11 P 0.631 0.500 0.219 [1 per cell]
12 P 0.665 0.000 0.629 [1 per cell]
13 P 0.839 0.500 0.873 [1 per cell]
14 P 0.871 0.000 0.285 [1 per cell]
15 Cl 0.255 0.247 0.252 [2 per cell]
16 O 0.108 0.500 0.608 [1 per cell]
17 O 0.118 0.000 0.656 [1 per cell]
18 O 0.168 0.178 0.895 [2 per cell]
19 O 0.336 0.322 0.608 [2 per cell]
20 O 0.387 0.500 0.848 [1 per cell]
21 O 0.397 0.000 0.897 [1 per cell]
22 O 0.526 0.319 0.173 [2 per cell]
23 O 0.607 0.000 0.750 [1 per cell]
24 O 0.607 0.176 0.521 [2 per cell]
25 O 0.657 0.500 0.790 [1 per cell]
26 O 0.712 0.500 0.118 [1 per cell]
27 O 0.753 0.000 0.106 [1 per cell]
28 O 0.753 0.500 0.398 [1 per cell]
29 O 0.785 0.000 0.381 [1 per cell]
30 O 0.848 0.000 0.713 [1 per cell]
31 O 0.897 0.322 0.980 [2 per cell]
32 O 0.897 0.500 0.752 [1 per cell]
33 O 0.979 0.178 0.337 [2 per cell]

Values from the calculation:
Formation enthalpy at 0 K = -3287 meV/atom
Crystal system = monoclinic
Uncorrected energy = -7.02 eV per atom



# 5
First-principles (GGA-PBE) data for Rb12CaCl4O4 after structural relaxation, as listed in Materials Project.

a b c (Å): 7.844 7.930 13.012
angles (deg): 84.36 77.87 88.35
Space group P1 (No. 1)
Unique sites:
1 Rb 0.000 0.000 0.000 [1 per cell]
2 Rb 0.003 0.413 0.086 [1 per cell]
3 Rb 0.060 0.595 0.620 [1 per cell]
4 Rb 0.101 0.075 0.676 [1 per cell]
5 Rb 0.292 0.688 0.859 [1 per cell]
6 Rb 0.439 0.894 0.429 [1 per cell]
7 Rb 0.498 0.407 0.164 [1 per cell]
8 Rb 0.533 0.944 0.065 [1 per cell]
9 Rb 0.557 0.516 0.601 [1 per cell]
10 Rb 0.602 0.028 0.687 [1 per cell]
11 Rb 0.726 0.366 0.854 [1 per cell]
12 Rb 0.923 0.290 0.426 [1 per cell]
13 Ca 0.093 0.771 0.232 [1 per cell]
14 Cl 0.192 0.101 0.233 [1 per cell]
15 Cl 0.297 0.273 0.843 [1 per cell]
16 Cl 0.751 0.697 0.237 [1 per cell]
17 Cl 0.818 0.780 0.843 [1 per cell]
18 O 0.218 0.718 0.085 [1 per cell]
19 O 0.356 0.807 0.641 [1 per cell]
20 O 0.744 0.225 0.045 [1 per cell]
21 O 0.839 0.307 0.633 [1 per cell]

Values from the calculation:
Formation enthalpy at 0 K = -1400 meV/atom
Excess energy over the best structure of this formula in the dataset = 8 meV per atom
Crystal system = triclinic
Uncorrected energy = -3.22 eV per atom



# 6
First-principles (GGA-PBE) data for Rb12CaCl4O4 after structural relaxation, as listed in Materials Project.

a b c (Å): 7.997 11.356 8.419
angles (deg): 90.00 99.62 90.00
Space group Pm (No. 6)
Unique sites:
1 Rb 0.000 0.000 0.000 [1 per cell]
2 Rb 0.111 0.500 0.090 [1 per cell]
3 Rb 0.283 0.219 0.346 [2 per cell]
4 Rb 0.320 0.199 0.889 [2 per cell]
5 Rb 0.403 0.500 0.644 [1 per cell]
6 Rb 0.646 0.000 0.544 [1 per cell]
7 Rb 0.792 0.237 0.209 [2 per cell]
8 Rb 0.838 0.300 0.735 [2 per cell]
9 Ca 0.652 0.500 0.365 [1 per cell]
10 Cl 0.007 0.500 0.456 [1 per cell]
11 Cl 0.055 0.000 0.550 [1 per cell]
12 Cl 0.478 0.000 0.173 [1 per cell]
13 Cl 0.597 0.500 0.025 [1 per cell]
14 O 0.060 0.250 0.039 [2 per cell]
15 O 0.573 0.344 0.470 [2 per cell]

Values from the calculation:
Formation enthalpy at 0 K = -1409 meV/atom
Excess energy over the best structure of this formula in the dataset = 0 meV per atom
Crystal system = monoclinic
Uncorrected energy = -3.23 eV per atom



# 7
First-principles (GGA-PBE) data for Ca10Si3S3Cl2O24 after structural relaxation, as listed in Materials Project.

a b c (Å): 9.8405 9.8405 6.8219
angles (deg): 90.00 90.00 120.00
Space group P-6 (No. 174)
Unique sites:
1 Ca 0.0000 0.0000 0.2238 [2 per cell]
2 Ca 0.0637 0.6388 0.0000 [3 per cell]
3 Ca 0.0798 0.4193 0.5000 [3 per cell]
4 Ca 0.6667 0.3333 0.2307 [2 per cell]
5 Si 0.3627 0.0696 0.0000 [3 per cell]
6 S 0.2999 0.2552 0.5000 [3 per cell]
7 Cl 0.3333 0.6667 0.2545 [2 per cell]
8 O 0.0062 0.1780 0.0000 [3 per cell]
9 O 0.0596 0.7500 0.3249 [6 per cell]
10 O 0.2099 0.0782 0.5000 [3 per cell]
11 O 0.4258 0.0173 0.1949 [6 per cell]
12 O 0.4615 0.2639 0.0000 [3 per cell]
13 O 0.4712 0.3142 0.5000 [3 per cell]

Values from the calculation:
Formation enthalpy at 0 K = -3025 meV/atom
Crystal system = hexagonal
Uncorrected energy = -6.71 eV per atom



# 8
First-principles (GGA-PBE) data for Ca10Si3S3Cl2O24 after structural relaxation, as listed in Materials Project.

a b c (Å): 9.774 6.828 9.845
angles (deg): 90.00 119.32 90.00
Space group Pm (No. 6)
Unique sites:
1 Ca 0.000 0.000 0.000 [1 per cell]
2 Ca 0.009 0.500 0.528 [1 per cell]
3 Ca 0.241 0.000 0.513 [1 per cell]
4 Ca 0.255 0.500 0.306 [1 per cell]
5 Ca 0.306 0.240 0.913 [2 per cell]
6 Ca 0.642 0.245 0.582 [2 per cell]
7 Ca 0.714 0.500 0.014 [1 per cell]
8 Ca 0.755 0.000 0.308 [1 per cell]
9 Si 0.366 0.500 0.681 [1 per cell]
10 Si 0.384 0.000 0.293 [1 per cell]
11 Si 0.944 0.000 0.647 [1 per cell]
12 S 0.012 0.500 0.893 [1 per cell]
13 S 0.562 0.500 0.227 [1 per cell]
14 S 0.611 0.000 0.864 [1 per cell]
15 Cl 0.973 0.253 0.256 [2 per cell]
16 O 0.063 0.325 0.995 [2 per cell]
17 O 0.100 0.500 0.803 [1 per cell]
18 O 0.131 0.000 0.774 [1 per cell]
19 O 0.249 0.307 0.626 [2 per cell]
20 O 0.304 0.000 0.102 [1 per cell]
21 O 0.338 0.191 0.364 [2 per cell]
22 O 0.386 0.500 0.139 [1 per cell]
23 O 0.453 0.500 0.875 [1 per cell]
24 O 0.493 0.500 0.617 [1 per cell]
25 O 0.498 0.000 0.925 [1 per cell]
26 O 0.523 0.000 0.690 [1 per cell]
27 O 0.579 0.000 0.389 [1 per cell]
28 O 0.617 0.500 0.397 [1 per cell]
29 O 0.620 0.324 0.182 [2 per cell]
30 O 0.712 0.177 0.919 [2 per cell]
31 O 0.839 0.000 0.737 [1 per cell]
32 O 0.840 0.500 0.786 [1 per cell]
33 O 0.887 0.196 0.533 [2 per cell]

Values from the calculation:
Formation enthalpy at 0 K = -3026 meV/atom
Crystal system = monoclinic
Uncorrected energy = -6.71 eV per atom



# 9
First-principles (GGA-PBE) data for Sr4CaCl10 after structural relaxation, as listed in Materials Project.

a b c (Å): 4.947 6.999 24.704
angles (deg): 90.00 90.00 90.00
Space group Immm (No. 71)
Unique sites:
1 Sr 0.000 0.000 0.099 [4 per cell]
2 Sr 0.000 0.000 0.301 [4 per cell]
3 Ca 0.000 0.000 0.500 [2 per cell]
4 Cl 0.000 0.246 0.402 [8 per cell]
5 Cl 0.000 0.249 0.200 [8 per cell]
6 Cl 0.000 0.259 0.000 [4 per cell]

Values from the calculation:
Formation enthalpy at 0 K = -2862 meV/atom
Crystal system = orthorhombic
Uncorrected energy = -4.27 eV per atom



# 10
First-principles (GGA-PBE) data for Ca4CoN4 after structural relaxation, as listed in Materials Project.

a b c (Å): 5.937 6.036 8.268
angles (deg): 71.75 81.40 70.63
Space group P-1 (No. 2)
Unique sites:
1 Ca 0.205 0.439 0.350 [2 per cell]
2 Ca 0.226 0.956 0.126 [2 per cell]
3 Ca 0.270 0.504 0.933 [2 per cell]
4 Ca 0.286 0.807 0.532 [2 per cell]
5 Co 0.268 0.152 0.747 [2 per cell]
6 N 0.019 0.295 0.893 [2 per cell]
7 N 0.047 0.174 0.599 [2 per cell]
8 N 0.453 0.360 0.691 [2 per cell]
9 N 0.486 0.839 0.814 [2 per cell]

Values from the calculation:
Formation enthalpy at 0 K = -715 meV/atom
Crystal system = triclinic
Uncorrected energy = -5.94 eV per atom